[1]
GdYIr2, relaxed, DFT r²SCAN; crystal system = cubic
1.0
0.0000 3.4375 3.4375
3.4375 0.0000 3.4375
3.4375 3.4375 0.0000
Gd Y Ir
1 1 2
Direct
0.5000 0.5000 0.5000
0.0000 0.0000 0.0000
0.2500 0.2500 0.2500
0.7500 0.7500 0.7500



[2]
KNaGdTaO5, relaxed, DFT r²SCAN; crystal system = tetragonal
1.0
5.6652 0.0000 0.0000
0.0000 5.6652 0.0000
0.0000 0.0000 8.2050
K Na Gd Ta O
2 2 2 2 10
Direct
0.0000 0.0000 0.0000
0.5000 0.5000 0.0000
0.0000 0.5000 0.2417
0.5000 0.0000 0.7583
0.0000 0.0000 0.5000
0.5000 0.5000 0.5000
0.5000 0.0000 0.2604
0.0000 0.5000 0.7396
0.5000 0.0000 0.0348
0.2674 0.7674 0.3321
0.7326 0.7674 0.3321
0.2674 0.2326 0.3321
0.7326 0.2326 0.3321
0.7674 0.2674 0.6679
0.2326 0.2674 0.6679
0.7674 0.7326 0.6679
0.2326 0.7326 0.6679
0.0000 0.5000 0.9652



ΔH_f (0 K) across the listed records, respectively: -0.8406, -2.9842 eV/atom.